Record 1
Entry from the Materials Project database: an optimized crystal structure of K2Sb2SO4F6 (GGA-PBE).

Structure (CIF):
```
data_K2Sb2SO4F6
_chemical_formula_sum 'K8 Sb8 S4 O16 F24'
_cell_length_a 9.413
_cell_length_b 5.721
_cell_length_c 19.799
_cell_angle_alpha 90.00
_cell_angle_beta 103.74
_cell_angle_gamma 90.00
_symmetry_space_group_name_H-M 'P 1 21/c 1'
_symmetry_Int_Tables_number 14
_symmetry_space_group_name_Hall '-P 2ybc'
loop_
_atom_site_label
_atom_site_type_symbol
_atom_site_fract_x
_atom_site_fract_y
_atom_site_fract_z
_atom_site_occupancy
K1 K 0.019 0.250 0.425 1
K2 K 0.361 0.246 0.173 1
Sb1 Sb 0.177 0.740 0.778 1
Sb2 Sb 0.314 0.723 0.501 1
S1 S 0.370 0.238 0.379 1
O1 O 0.240 0.104 0.858 1
O2 O 0.363 0.118 0.445 1
O3 O 0.373 0.066 0.323 1
O4 O 0.493 0.617 0.607 1
F1 F 0.067 0.526 0.209 1
F2 F 0.109 0.711 0.944 1
F3 F 0.139 0.527 0.696 1
F4 F 0.207 0.022 0.042 1
F5 F 0.261 0.551 0.066 1
F6 F 0.353 0.651 0.249 1
```

Results
Energy of formation from the pure elements   -2.528 eV per atom
DFT total energy   -5.220 eV/atom
Calculated volume   1035.75 Å³ per cell



Record 2
Entry from the Materials Project database: an optimized crystal structure of KSnSO4F (GGA-PBE).

Structure (CIF):
```
data_KSnSO4F
_chemical_formula_sum 'K2 Sn2 S2 O8 F2'
_cell_length_a 6.247
_cell_length_b 7.210
_cell_length_c 7.372
_cell_angle_alpha 106.93
_cell_angle_beta 102.58
_cell_angle_gamma 109.87
_symmetry_space_group_name_H-M 'P -1'
_symmetry_Int_Tables_number 2
_symmetry_space_group_name_Hall '-P 1'
loop_
_atom_site_label
_atom_site_type_symbol
_atom_site_fract_x
_atom_site_fract_y
_atom_site_fract_z
_atom_site_occupancy
K1 K 0.191 0.339 0.130 1
Sn1 Sn 0.363 0.942 0.708 1
S1 S 0.170 0.362 0.660 1
O1 O 0.017 0.641 0.247 1
O2 O 0.048 0.211 0.437 1
O3 O 0.319 0.581 0.674 1
O4 O 0.342 0.289 0.762 1
F1 F 0.264 0.976 0.967 1
```

Results
Energy of formation from the pure elements   -2.197 eV per atom
DFT total energy   -5.666 eV/atom
Calculated volume   279.60 Å³ per cell



Record 3
Entry from the Materials Project database: an optimized crystal structure of K2USO7F2 (GGA-PBE).

Structure (CIF):
```
data_K2USO7F2
_chemical_formula_sum 'K8 U4 S4 O28 F8'
_cell_length_a 9.359
_cell_length_b 8.748
_cell_length_c 11.152
_cell_angle_alpha 90.00
_cell_angle_beta 101.32
_cell_angle_gamma 90.00
_symmetry_space_group_name_H-M 'P 1 21/c 1'
_symmetry_Int_Tables_number 14
_symmetry_space_group_name_Hall '-P 2ybc'
loop_
_atom_site_label
_atom_site_type_symbol
_atom_site_fract_x
_atom_site_fract_y
_atom_site_fract_z
_atom_site_occupancy
K1 K 0.079 0.047 0.352 1
K2 K 0.416 0.524 0.197 1
U1 U 0.190 0.605 0.511 1
S1 S 0.428 0.226 0.994 1
O1 O 0.146 0.658 0.350 1
O2 O 0.161 0.188 0.712 1
O3 O 0.233 0.548 0.671 1
O4 O 0.341 0.086 0.941 1
O5 O 0.355 0.134 0.443 1
O6 O 0.428 0.714 0.548 1
O7 O 0.453 0.223 0.128 1
F1 F 0.053 0.125 0.970 1
F2 F 0.155 0.651 0.055 1
```

Results
Energy of formation from the pure elements   -2.524 eV per atom
DFT total energy   -6.400 eV/atom
Calculated volume   895.28 Å³ per cell



Record 4
Entry from the Materials Project database: an optimized crystal structure of K2Sb2SeO5F6 (GGA-PBE).

Structure (CIF):
```
data_K2Sb2SeO5F6
_chemical_formula_sum 'K8 Sb8 Se4 O20 F24'
_cell_length_a 5.980
_cell_length_b 12.564
_cell_length_c 15.070
_cell_angle_alpha 90.00
_cell_angle_beta 90.00
_cell_angle_gamma 90.00
_symmetry_space_group_name_H-M 'P 21 21 21'
_symmetry_Int_Tables_number 19
_symmetry_space_group_name_Hall 'P 2ac 2ab'
loop_
_atom_site_label
_atom_site_type_symbol
_atom_site_fract_x
_atom_site_fract_y
_atom_site_fract_z
_atom_site_occupancy
K1 K 0.059 0.238 0.268 1
K2 K 0.071 0.024 0.668 1
Sb1 Sb 0.032 0.353 0.569 1
Sb2 Sb 0.043 0.225 0.907 1
Se1 Se 0.011 0.968 0.422 1
O1 O 0.069 0.476 0.324 1
O2 O 0.133 0.554 0.142 1
O3 O 0.139 0.879 0.355 1
O4 O 0.170 0.405 0.011 1
O5 O 0.205 0.032 0.482 1
F1 F 0.079 0.652 0.699 1
F2 F 0.096 0.893 0.815 1
F3 F 0.199 0.235 0.629 1
F4 F 0.210 0.324 0.831 1
F5 F 0.212 0.742 0.935 1
F6 F 0.217 0.823 0.612 1
```

Results
Energy of formation from the pure elements   -2.036 eV per atom
DFT total energy   -4.786 eV/atom
Calculated volume   1132.22 Å³ per cell



Record 5
Entry from the Materials Project database: an optimized crystal structure of K3SeO4F (GGA-PBE).

Structure (CIF):
```
data_K3SeO4F
_chemical_formula_sum 'K12 Se4 O16 F4'
_cell_length_a 7.477
_cell_length_b 7.477
_cell_length_c 11.648
_cell_angle_alpha 90.00
_cell_angle_beta 90.00
_cell_angle_gamma 90.00
_symmetry_space_group_name_H-M 'I 4/m c m'
_symmetry_Int_Tables_number 140
_symmetry_space_group_name_Hall '-I 4 2c'
loop_
_atom_site_label
_atom_site_type_symbol
_atom_site_fract_x
_atom_site_fract_y
_atom_site_fract_z
_atom_site_occupancy
K1 K 0.000 0.000 0.250 1
K2 K 0.191 0.309 0.000 1
Se1 Se 0.000 0.500 0.250 1
O1 O 0.128 0.372 0.335 1
F1 F 0.000 0.000 0.000 1
```

Results
Energy of formation from the pure elements   -2.052 eV per atom
DFT total energy   -4.866 eV/atom
Calculated volume   651.23 Å³ per cell



Record 6
Entry from the Materials Project database: an optimized crystal structure of K9Sm3Si12O32F2 (GGA-PBE).

Structure (CIF):
```
data_K9Sm3Si12O32F2
_chemical_formula_sum 'K9 Sm3 Si12 O32 F2'
_cell_length_a 6.997
_cell_length_b 11.541
_cell_length_c 11.636
_cell_angle_alpha 87.63
_cell_angle_beta 89.48
_cell_angle_gamma 80.17
_symmetry_space_group_name_H-M 'P -1'
_symmetry_Int_Tables_number 2
_symmetry_space_group_name_Hall '-P 1'
loop_
_atom_site_label
_atom_site_type_symbol
_atom_site_fract_x
_atom_site_fract_y
_atom_site_fract_z
_atom_site_occupancy
K1 K 0.000 0.000 0.000 1
K2 K 0.235 0.385 0.983 1
K3 K 0.332 0.153 0.787 1
K4 K 0.332 0.191 0.221 1
K5 K 0.483 0.669 0.490 1
Sm1 Sm 0.014 0.514 0.666 1
Sm2 Sm 0.500 0.000 0.500 1
Si1 Si 0.053 0.233 0.511 1
Si2 Si 0.157 0.910 0.304 1
Si3 Si 0.161 0.862 0.689 1
Si4 Si 0.189 0.696 0.159 1
Si5 Si 0.215 0.667 0.883 1
Si6 Si 0.482 0.485 0.256 1
O1 O 0.000 0.351 0.790 1
O2 O 0.011 0.788 0.625 1
O3 O 0.026 0.376 0.518 1
O4 O 0.040 0.992 0.723 1
O5 O 0.042 0.603 0.844 1
O6 O 0.114 0.816 0.407 1
O7 O 0.187 0.837 0.184 1
O8 O 0.208 0.690 0.020 1
O9 O 0.216 0.796 0.817 1
O10 O 0.267 0.164 0.540 1
O11 O 0.312 0.420 0.309 1
O12 O 0.344 0.511 0.654 1
O13 O 0.345 0.966 0.330 1
O14 O 0.354 0.872 0.618 1
O15 O 0.397 0.624 0.213 1
O16 O 0.432 0.584 0.863 1
F1 F 0.255 0.156 0.004 1
```

Results
Energy of formation from the pure elements   -3.190 eV per atom
DFT total energy   -7.129 eV/atom
Calculated volume   925.12 Å³ per cell



Record 7
Entry from the Materials Project database: an optimized crystal structure of K2Sn2OF6 (GGA-PBE).

Structure (CIF):
```
data_K2Sn2OF6
_chemical_formula_sum 'K8 Sn8 O4 F24'
_cell_length_a 14.118
_cell_length_b 14.118
_cell_length_c 4.212
_cell_angle_alpha 90.00
_cell_angle_beta 90.00
_cell_angle_gamma 90.00
_symmetry_space_group_name_H-M 'I 4/m'
_symmetry_Int_Tables_number 87
_symmetry_space_group_name_Hall '-I 4'
loop_
_atom_site_label
_atom_site_type_symbol
_atom_site_fract_x
_atom_site_fract_y
_atom_site_fract_z
_atom_site_occupancy
K1 K 0.139 0.148 0.000 1
Sn1 Sn 0.022 0.663 0.500 1
O1 O 0.000 0.000 0.000 1
O2 O 0.000 0.000 0.500 1
F1 F 0.028 0.707 0.000 1
F2 F 0.038 0.205 0.500 1
F3 F 0.157 0.717 0.500 1
```

Results
Energy of formation from the pure elements   -2.396 eV per atom
DFT total energy   -4.506 eV/atom
Calculated volume   839.50 Å³ per cell



Record 8
Entry from the Materials Project database: an optimized crystal structure of K2SnOF6 (GGA-PBE).

Structure (CIF):
```
data_K2SnOF6
_chemical_formula_sum 'K32 Sn16 O16 F96'
_cell_length_a 12.156
_cell_length_b 13.766
_cell_length_c 17.822
_cell_angle_alpha 90.00
_cell_angle_beta 90.00
_cell_angle_gamma 90.00
_symmetry_space_group_name_H-M 'F d d d'
_symmetry_Int_Tables_number 70
loop_
_symmetry_equiv_pos_as_xyz
'x,y,z'
'-x,-y,-z'
'-x+1/4,-y+1/4,z'
'x+1/4,y+1/4,-z'
'x,-y+1/4,-z+1/4'
'-x,y+1/4,z+1/4'
'-x+1/4,y,-z+1/4'
'x+1/4,-y,z+1/4'
'x,y+1/2,z+1/2'
'-x,-y+1/2,-z+1/2'
'-x+1/4,-y+3/4,z+1/2'
'x+1/4,y+3/4,-z+1/2'
'x,-y+3/4,-z+3/4'
'-x,y+3/4,z+3/4'
'-x+1/4,y+1/2,-z+3/4'
'x+1/4,-y+1/2,z+3/4'
'x+1/2,y,z+1/2'
'-x+1/2,-y,-z+1/2'
'-x+3/4,-y+1/4,z+1/2'
'x+3/4,y+1/4,-z+1/2'
'x+1/2,-y+1/4,-z+3/4'
'-x+1/2,y+1/4,z+3/4'
'-x+3/4,y,-z+3/4'
'x+3/4,-y,z+3/4'
'x+1/2,y+1/2,z'
'-x+1/2,-y+1/2,-z'
'-x+3/4,-y+3/4,z'
'x+3/4,y+3/4,-z'
'x+1/2,-y+3/4,-z+1/4'
'-x+1/2,y+3/4,z+1/4'
'-x+3/4,y+1/2,-z+1/4'
'x+3/4,-y+1/2,z+1/4'
loop_
_atom_site_label
_atom_site_type_symbol
_atom_site_fract_x
_atom_site_fract_y
_atom_site_fract_z
_atom_site_occupancy
K1 K 0.078 0.375 0.375 1
K2 K 0.125 0.125 0.504 1
Sn1 Sn 0.125 0.342 0.625 1
O1 O 0.125 0.125 0.024 1
F1 F 0.007 0.308 0.132 1
F2 F 0.013 0.015 0.635 1
F3 F 0.101 0.336 0.736 1
```

Results
Energy of formation from the pure elements   -2.505 eV per atom
DFT total energy   -4.426 eV/atom
Calculated volume   2982.28 Å³ per cell



Number 1: magnetization 0.00 μB per formula unit. Number 2: magnetization 0.00 μB per formula unit. Number 3: magnetization 2.00 μB per formula unit. Number 4: magnetization 2.00 μB per formula unit. Number 5: magnetization 0.00 μB per formula unit. Number 6: magnetization 0.00 μB per formula unit. Number 7: magnetization 0.72 μB per formula unit. Number 8: magnetization 2.00 μB per formula unit.